Record 1
# RbPbBr3 | the Materials Project | PBE | optimized geometry
# * energy with MP2020 corrections: -17.67 eV per formula unit
# * symmetry: Cmcm
data_RbPbBr3
_chemical_formula_sum 'Rb2 Pb2 Br6'
_cell_length_a 7.865
_cell_length_b 7.865
_cell_length_c 11.343
_cell_angle_alpha 90.00
_cell_angle_beta 90.00
_cell_angle_gamma 146.63
_space_group_name_H-M_alt 'P 1'
_space_group_IT_number 1
loop_
_space_group_symop_operation_xyz
'x,y,z'
loop_
_atom_site_label
_atom_site_type_symbol
_atom_site_fract_x
_atom_site_fract_y
_atom_site_fract_z
Br1 Br 0.633 0.367 0.055
Br2 Br 0.928 0.072 0.250
Br3 Br 0.072 0.928 0.750
Pb1 Pb 0.000 0.000 0.500
Pb2 Pb 0.000 0.000 0.000
Rb1 Rb 0.746 0.254 0.750
Br4 Br 0.367 0.633 0.555
Br5 Br 0.633 0.367 0.445
Br6 Br 0.367 0.633 0.945
Rb2 Rb 0.254 0.746 0.250

***

Record 2
# NpSbTe | the Materials Project | PBE | optimized geometry
# * energy with MP2020 corrections: -22.40 eV per formula unit
# * symmetry: P4/nmm
data_NpSbTe
_chemical_formula_sum 'Np2 Sb2 Te2'
_cell_length_a 4.314
_cell_length_b 4.314
_cell_length_c 9.020
_cell_angle_alpha 90.00
_cell_angle_beta 90.00
_cell_angle_gamma 90.00
_space_group_name_H-M_alt 'P 1'
_space_group_IT_number 1
loop_
_space_group_symop_operation_xyz
'x,y,z'
loop_
_atom_site_label
_atom_site_type_symbol
_atom_site_fract_x
_atom_site_fract_y
_atom_site_fract_z
Sb1 Sb 0.000 0.000 0.000
Te1 Te 0.500 0.000 0.634
Np1 Np 0.000 0.500 0.723
Sb2 Sb 0.500 0.500 0.000
Np2 Np 0.500 0.000 0.277
Te2 Te 0.000 0.500 0.366

***

Record 3
# Na10Ta6In2Si11SO48 | the Materials Project | PBE | optimized geometry
# * energy with MP2020 corrections: -619.79 eV per formula unit
# * symmetry: P1
data_Na10Ta6In2Si11SO48
_chemical_formula_sum 'Na30 Ta18 In6 Si33 S3 O144'
_cell_length_a 18.117
_cell_length_b 9.066
_cell_length_c 22.651
_cell_angle_alpha 90.03
_cell_angle_beta 89.97
_cell_angle_gamma 120.04
_space_group_name_H-M_alt 'P 1'
_space_group_IT_number 1
loop_
_space_group_symop_operation_xyz
'x,y,z'
loop_
_atom_site_label
_atom_site_type_symbol
_atom_site_fract_x
_atom_site_fract_y
_atom_site_fract_z
O1 O 0.249 0.345 0.430
O2 O 0.097 0.212 0.696
Si1 Si 0.167 0.373 0.418
O3 O 0.929 0.363 0.640
Si2 Si 0.501 0.298 0.248
Si3 Si 0.809 0.663 0.916
O4 O 0.057 0.502 0.862
Si4 Si 0.691 0.336 0.083
Si5 Si 0.521 0.375 0.917
O5 O 0.011 0.215 0.187
O6 O 0.751 0.641 0.857
O7 O 0.186 0.512 0.077
Na1 Na 0.487 0.317 0.416
O8 O 0.579 0.187 0.408
O9 O 0.919 0.526 0.023
O10 O 0.738 0.160 0.528
O11 O 0.266 0.699 0.974
O12 O 0.917 0.026 0.806
O13 O 0.932 0.496 0.139
O14 O 0.825 0.501 0.921
O15 O 0.921 0.314 0.525
O16 O 0.149 0.826 0.970
Si6 Si 0.687 0.041 0.585
In1 In 0.001 0.001 0.145
O17 O 0.732 0.165 0.248
Na2 Na 0.838 0.711 0.089
Na3 Na 0.515 0.323 0.088
O18 O 0.915 0.805 0.307
Na4 Na 0.019 0.325 0.088
O19 O 0.160 0.859 0.256
Na5 Na 0.008 0.012 0.005
O20 O 0.424 0.507 0.427
O21 O 0.414 0.023 0.082
Si7 Si 0.312 0.666 0.916
O22 O 0.243 0.166 0.529
Si8 Si 0.480 0.623 0.083
O23 O 0.079 0.487 0.253
O24 O 0.230 0.293 0.748
Ta1 Ta 0.839 0.346 0.187
O25 O 0.082 0.465 0.976
O26 O 0.319 0.137 0.143
O27 O 0.514 0.221 0.187
O28 O 0.584 0.694 0.758
S1 S 0.146 0.289 0.751
O29 O 0.412 0.521 0.743
O30 O 0.765 0.830 0.473
O31 O 0.510 0.839 0.409
O32 O 0.894 0.813 0.188
O33 O 0.248 0.638 0.576
Na6 Na 0.506 0.000 0.505
Na7 Na 0.019 0.711 0.586
O34 O 0.240 0.318 0.026
O35 O 0.489 0.163 0.589
Ta2 Ta 0.169 0.668 0.522
Na8 Na 0.837 0.326 0.834
Ta3 Ta 0.167 0.669 0.020
O36 O 0.260 0.836 0.750
O37 O 0.346 0.174 0.744
Si9 Si 0.665 0.955 0.916
O38 O 0.098 0.982 0.196
Ta4 Ta 0.667 0.666 0.020
O39 O 0.200 0.496 0.362
O40 O 0.078 0.971 0.909
O41 O 0.084 0.686 0.754
Na9 Na 0.012 0.012 0.505
Na10 Na 0.502 0.998 0.000
In2 In 0.497 0.003 0.147
Si10 Si 0.980 0.623 0.080
O42 O 0.678 0.861 0.858
Si11 Si 0.853 0.705 0.248
O43 O 0.082 0.697 0.477
Si12 Si 0.001 0.297 0.247
O44 O 0.232 0.164 0.248
O45 O 0.414 0.805 0.307
O46 O 0.600 0.985 0.193
O47 O 0.555 0.613 0.361
Ta5 Ta 0.339 0.335 0.686
O48 O 0.597 0.164 0.807
Na11 Na 0.342 0.659 0.416
O49 O 0.013 0.186 0.908
Ta6 Ta 0.831 0.326 0.977
O50 O 0.256 0.626 0.858
In3 In 0.665 0.653 0.317
O51 O 0.056 0.611 0.363
Si13 Si 0.309 0.960 0.414
O52 O 0.261 0.697 0.253
O53 O 0.598 0.167 0.085
O54 O 0.585 0.197 0.691
Na12 Na 0.680 0.001 0.749
O55 O 0.148 0.466 0.474
O56 O 0.748 0.133 0.644
O57 O 0.570 0.499 0.861
O58 O 0.250 0.150 0.928
O59 O 0.183 0.855 0.577
O60 O 0.347 0.533 0.526
O61 O 0.345 0.513 0.245
Si14 Si 0.854 0.002 0.749
O62 O 0.841 0.169 0.745
Na13 Na 0.346 0.030 0.914
In4 In 0.999 0.998 0.645
Si15 Si 0.002 0.708 0.749
Si16 Si 0.496 0.710 0.750
Si17 Si 0.022 0.669 0.418
O63 O 0.095 0.015 0.584
O64 O 0.840 0.520 0.526
O65 O 0.434 0.499 0.142
O66 O 0.101 0.176 0.803
Na14 Na 0.317 0.990 0.253
O67 O 0.906 0.292 0.245
O68 O 0.765 0.691 0.975
O69 O 0.517 0.837 0.693
Si18 Si 0.642 0.289 0.749
Na15 Na 0.843 0.659 0.416
O70 O 0.988 0.167 0.306
O71 O 0.684 0.858 0.577
Ta7 Ta 0.333 0.332 0.482
O72 O 0.095 0.174 0.084
O73 O 0.743 0.855 0.077
O74 O 0.252 0.363 0.141
O75 O 0.431 0.358 0.640
Ta8 Ta 0.663 0.662 0.521
Ta9 Ta 0.338 0.343 0.187
O76 O 0.010 0.837 0.409
O77 O 0.915 0.804 0.582
Si19 Si 0.023 0.376 0.917
Na16 Na 0.818 0.992 0.253
O78 O 0.579 0.488 0.254
O79 O 0.924 0.506 0.428
In5 In 0.169 0.670 0.816
O80 O 0.738 0.314 0.025
Na17 Na 0.988 0.660 0.914
O81 O 0.413 0.026 0.810
O82 O 0.840 0.166 0.028
Na18 Na 0.663 0.644 0.176
O83 O 0.332 0.158 0.425
O84 O 0.393 0.808 0.188
O85 O 0.158 0.459 0.756
O86 O 0.648 0.467 0.473
O87 O 0.102 0.023 0.303
O88 O 0.580 0.973 0.910
O89 O 0.910 0.523 0.745
O90 O 0.245 0.853 0.076
O91 O 0.758 0.834 0.760
O92 O 0.581 0.469 0.976
Na19 Na 0.172 0.667 0.671
O93 O 0.263 0.827 0.470
Si20 Si 0.831 0.044 0.084
Si21 Si 0.333 0.622 0.585
O94 O 0.660 0.859 0.255
O95 O 0.320 0.496 0.641
Ta10 Ta 0.662 0.662 0.813
O96 O 0.071 0.627 0.076
O97 O 0.814 0.131 0.143
O98 O 0.259 0.893 0.353
O99 O 0.762 0.698 0.253
Na20 Na 0.831 0.339 0.333
O100 O 0.419 0.526 0.027
Ta11 Ta 0.996 0.997 0.355
Si22 Si 0.480 0.332 0.582
O101 O 0.573 0.633 0.077
O102 O 0.684 0.511 0.077
Ta12 Ta 0.830 0.327 0.481
Si23 Si 0.667 0.372 0.417
O103 O 0.914 0.023 0.083
O104 O 0.493 0.812 0.086
O105 O 0.017 0.819 0.690
O106 O 0.329 0.506 0.926
O107 O 0.984 0.164 0.586
O108 O 0.819 0.504 0.643
In6 In 0.164 0.653 0.317
Na21 Na 0.656 0.648 0.664
O109 O 0.657 0.483 0.757
Si24 Si 0.190 0.043 0.585
O110 O 0.424 0.312 0.523
O111 O 0.905 0.834 0.909
O112 O 0.418 0.810 0.592
O113 O 0.926 0.350 0.928
Na22 Na 0.338 0.355 0.834
O114 O 0.699 0.496 0.361
Ta13 Ta 0.499 0.997 0.855
O115 O 0.745 0.642 0.577
O116 O 0.654 0.836 0.975
O117 O 0.573 0.506 0.577
O118 O 0.748 0.343 0.429
Na23 Na 0.988 0.318 0.415
Si25 Si 0.167 0.962 0.915
O119 O 0.406 0.845 0.912
Na24 Na 0.330 0.337 0.334
O120 O 0.845 0.515 0.244
Na25 Na 0.162 0.653 0.173
O121 O 0.406 0.975 0.409
Si26 Si 0.351 0.702 0.248
O122 O 0.758 0.889 0.355
Ta14 Ta 0.333 0.339 0.979
O123 O 0.409 0.985 0.694
O124 O 0.738 0.307 0.743
Na26 Na 0.336 0.710 0.087
O125 O 0.987 0.808 0.807
Si27 Si 0.355 0.999 0.750
O126 O 0.511 0.186 0.910
S2 S 0.647 0.005 0.249
S3 S 0.146 0.005 0.251
O127 O 0.985 0.804 0.084
Na27 Na 0.183 0.986 0.750
O128 O 0.751 0.143 0.923
O129 O 0.406 0.291 0.246
O130 O 0.193 0.903 0.856
O131 O 0.489 0.168 0.305
Ta15 Ta 0.994 0.996 0.857
O132 O 0.344 0.166 0.025
O133 O 0.831 0.155 0.426
O134 O 0.594 0.022 0.590
Ta16 Ta 0.499 0.001 0.645
O135 O 0.485 0.805 0.808
Ta17 Ta 0.495 0.997 0.355
Na28 Na 0.836 0.961 0.585
Si28 Si 0.329 0.044 0.083
Si29 Si 0.981 0.337 0.583
Si30 Si 0.809 0.957 0.415
Si31 Si 0.522 0.670 0.417
O136 O 0.426 0.348 0.923
O137 O 0.906 0.974 0.409
O138 O 0.079 0.187 0.408
O139 O 0.583 0.698 0.475
Si32 Si 0.190 0.334 0.083
Ta18 Ta 0.835 0.337 0.688
O140 O 0.247 0.136 0.645
Na29 Na 0.819 0.644 0.747
O141 O 0.753 0.366 0.141
O142 O 0.072 0.514 0.578
Si33 Si 0.829 0.619 0.583
Na30 Na 0.647 0.969 0.084
O143 O 0.600 0.022 0.301
O144 O 0.886 0.954 0.690

***

Record 4
# GdSnAu | the Materials Project | PBE | optimized geometry
# * symmetry: F-43m
data_GdSnAu
_chemical_formula_sum 'Gd1 Sn1 Au1'
_cell_length_a 4.811
_cell_length_b 4.811
_cell_length_c 4.811
_cell_angle_alpha 60.00
_cell_angle_beta 60.00
_cell_angle_gamma 60.00
_space_group_name_H-M_alt 'P 1'
_space_group_IT_number 1
loop_
_space_group_symop_operation_xyz
'x,y,z'
loop_
_atom_site_label
_atom_site_type_symbol
_atom_site_fract_x
_atom_site_fract_y
_atom_site_fract_z
Sn1 Sn 0.000 0.000 0.000
Au1 Au 0.750 0.750 0.750
Gd1 Gd 0.500 0.500 0.500

***

Record 5
# AlPO4 | the Materials Project | PBE | optimized geometry
# * energy with MP2020 corrections: -47.61 eV per formula unit
# * symmetry: P-1
data_AlPO4
_chemical_formula_sum 'Al6 P6 O24'
_cell_length_a 5.320
_cell_length_b 12.848
_cell_length_c 12.879
_cell_angle_alpha 117.28
_cell_angle_beta 90.81
_cell_angle_gamma 90.89
_space_group_name_H-M_alt 'P 1'
_space_group_IT_number 1
loop_
_space_group_symop_operation_xyz
'x,y,z'
loop_
_atom_site_label
_atom_site_type_symbol
_atom_site_fract_x
_atom_site_fract_y
_atom_site_fract_z
O1 O 0.013 0.139 0.155
Al1 Al 0.268 0.986 0.631
O2 O 0.973 0.913 0.338
O3 O 0.737 0.504 0.892
O4 O 0.556 0.666 0.075
O5 O 0.263 0.496 0.108
P1 P 0.763 0.634 0.984
O6 O 0.754 0.118 0.517
Al2 Al 0.734 0.843 0.920
Al3 Al 0.732 0.014 0.369
O7 O 0.987 0.861 0.845
P2 P 0.773 0.130 0.641
Al4 Al 0.730 0.360 0.874
O8 O 0.259 0.294 0.083
O9 O 0.546 0.148 0.146
O10 O 0.246 0.882 0.483
P3 P 0.237 0.366 0.016
P4 P 0.234 0.920 0.839
Al5 Al 0.270 0.640 0.126
O11 O 0.248 0.049 0.933
O12 O 0.437 0.943 0.339
O13 O 0.757 0.084 0.282
O14 O 0.741 0.706 0.917
O15 O 0.020 0.659 0.047
O16 O 0.454 0.852 0.854
Al6 Al 0.266 0.157 0.080
P5 P 0.227 0.870 0.359
O17 O 0.250 0.740 0.274
O18 O 0.243 0.916 0.718
O19 O 0.444 0.334 0.925
P6 P 0.766 0.080 0.161
O20 O 0.750 0.260 0.726
O21 O 0.980 0.341 0.953
O22 O 0.027 0.087 0.662
O23 O 0.563 0.057 0.661
O24 O 0.752 0.951 0.067

***

Number 1: E_tot -3.213 eV/atom, formation enthalpy at 0 K -1612 meV/atom. Number 2: E_tot -7.327 eV/atom, formation enthalpy at 0 K -727 meV/atom. Number 3: E_tot -7.523 eV/atom, formation enthalpy at 0 K -2931 meV/atom. Number 4: E_tot -7.963 eV/atom, formation enthalpy at 0 K -844 meV/atom. Number 5: E_tot -7.478 eV/atom, formation enthalpy at 0 K -3110 meV/atom.